Material: Al4CO
Method: DFT, PBE
State: relaxed

abc: 2.930 7.977 5.893
angles: 40.66 120.32 112.63
Sites, in units of the cell vectors:
Al 0.246 0.602 0.614
Al 0.635 0.085 0.998
Al 0.313 0.575 0.197
Al 0.596 0.026 0.526
C 0.964 0.779 0.649
O 0.259 0.220 0.493

## Properties
- ρ: 2.91 g/cm³
- Formation energy: -0.5902 eV per atom
- SG: P1 (1)



Material: Al2PbC2O11
Method: DFT, PBE
State: relaxed

abc: 6.146 8.970 15.953
angles: 90.00 90.00 90.00
Sites, in units of the cell vectors:
Al 0.025 0.157 0.699
Al 0.475 0.343 0.199
Al 0.525 0.843 0.301
Al 0.975 0.657 0.801
Al 0.975 0.843 0.301
Al 0.525 0.657 0.801
Al 0.475 0.157 0.699
Al 0.025 0.343 0.199
Pb 0.750 0.987 0.905
Pb 0.750 0.513 0.405
Pb 0.250 0.013 0.095
Pb 0.250 0.487 0.595
C 0.250 0.080 0.855
C 0.250 0.420 0.355
C 0.750 0.920 0.145
C 0.750 0.580 0.645
C 0.250 0.734 0.948
C 0.250 0.766 0.448
C 0.750 0.266 0.052
C 0.750 0.234 0.552
O 0.066 0.097 0.815
O 0.434 0.403 0.315
O 0.566 0.903 0.185
O 0.934 0.597 0.685
O 0.934 0.903 0.185
O 0.566 0.597 0.685
O 0.434 0.097 0.815
O 0.066 0.403 0.315
O 0.250 0.041 0.932
O 0.250 0.459 0.432
O 0.750 0.959 0.068
O 0.750 0.541 0.568
O 0.065 0.728 0.909
O 0.435 0.772 0.409
O 0.565 0.272 0.091
O 0.935 0.228 0.591
O 0.935 0.272 0.091
O 0.565 0.228 0.591
O 0.435 0.728 0.909
O 0.065 0.772 0.409
O 0.250 0.748 0.028
O 0.250 0.752 0.528
O 0.750 0.252 0.972
O 0.750 0.248 0.472
O 0.250 0.292 0.702
O 0.250 0.208 0.202
O 0.750 0.708 0.298
O 0.750 0.792 0.798
O 0.750 0.061 0.711
O 0.750 0.439 0.211
O 0.250 0.939 0.289
O 0.250 0.561 0.789
O 0.250 0.046 0.660
O 0.250 0.454 0.160
O 0.750 0.954 0.340
O 0.750 0.546 0.840
O 0.750 0.224 0.740
O 0.750 0.276 0.240
O 0.250 0.776 0.260
O 0.250 0.724 0.760
O 0.250 0.396 0.951
O 0.250 0.104 0.451
O 0.750 0.604 0.049
O 0.750 0.896 0.549

## Properties
- ρ: 3.48 g/cm³
- Formation energy: -1.5099 eV per atom
- SG: Pnma (62)



Material: Sc2Al4C3O3
Method: DFT, PBE
State: relaxed

abc: 14.413 14.413 14.413
angles: 13.39 13.39 13.39
Sites, in units of the cell vectors:
Sc 0.001 0.001 0.001
Sc 0.497 0.497 0.497
Al 0.770 0.770 0.770
Al 0.234 0.234 0.234
Al 0.384 0.384 0.384
Al 0.617 0.617 0.617
C 0.695 0.695 0.695
C 0.292 0.292 0.292
C 0.429 0.429 0.429
O 0.193 0.193 0.193
O 0.815 0.815 0.815
O 0.573 0.573 0.573

## Properties
- ρ: 3.35 g/cm³
- Formation energy: -1.6205 eV per atom
- SG: R3m (160)



Material: ScAlCO
Method: DFT, PBE
State: relaxed

abc: 10.271 10.271 10.271
angles: 18.42 18.42 18.42
Sites, in units of the cell vectors:
Sc 0.000 0.000 0.000
Sc 0.500 0.500 0.500
Al 0.739 0.739 0.739
Al 0.261 0.261 0.261
C 0.618 0.618 0.618
C 0.382 0.382 0.382
O 0.200 0.200 0.200
O 0.800 0.800 0.800

## Properties
- ρ: 3.51 g/cm³
- Formation energy: -1.8679 eV per atom
- SG: R-3m (166)



Material: ScAlCO
Method: DFT, PBE
State: relaxed

abc: 3.263 3.263 10.236
angles: 90.00 90.00 120.00
Sites, in units of the cell vectors:
Sc 0.667 0.333 0.804
Sc 0.333 0.667 0.304
Al 0.000 0.000 0.520
Al 0.000 0.000 0.020
C 0.333 0.667 0.942
C 0.667 0.333 0.442
O 0.000 0.000 0.697
O 0.000 0.000 0.197

## Properties
- Largest piezoelectric modulus: 1.91 C/m²
- ρ: 3.52 g/cm³
- Formation energy: -1.8834 eV per atom
- SG: P6_3mc (186)



Material: Sc3Al3C2O5
Method: DFT, PBE
State: relaxed

abc: 3.276 3.276 31.812
angles: 90.00 90.00 120.00
Sites, in units of the cell vectors:
Sc 0.333 0.667 0.659
Sc 0.667 0.333 0.159
Sc 0.667 0.333 0.341
Sc 0.333 0.667 0.841
Sc 0.000 0.000 0.500
Sc 0.000 0.000 0.000
Al 0.000 0.000 0.750
Al 0.000 0.000 0.250
Al 0.333 0.667 0.431
Al 0.667 0.333 0.931
Al 0.667 0.333 0.569
Al 0.333 0.667 0.069
C 0.667 0.333 0.454
C 0.333 0.667 0.954
C 0.333 0.667 0.546
C 0.667 0.333 0.046
O 0.333 0.667 0.373
O 0.667 0.333 0.873
O 0.667 0.333 0.627
O 0.333 0.667 0.127
O 0.333 0.667 0.750
O 0.667 0.333 0.250
O 0.000 0.000 0.809
O 0.000 0.000 0.309
O 0.000 0.000 0.191
O 0.000 0.000 0.691

## Properties
- ρ: 3.59 g/cm³
- Formation energy: -2.5649 eV per atom
- SG: P6_3/mmc (194)